1.
# Li4MnNi3O8 | Materials Project | PBE+U | optimized geometry
data_Li4MnNi3O8
_space_group_name_H-M_alt 'P 1'
_space_group_IT_number 1
_cell_length_a 5.857
_cell_length_b 5.857
_cell_length_c 5.857
_cell_angle_alpha 59.79
_cell_angle_beta 59.79
_cell_angle_gamma 59.79
loop_
_space_group_symop_operation_xyz
'x,y,z'
loop_
_atom_site_label
_atom_site_type_symbol
_atom_site_fract_x
_atom_site_fract_y
_atom_site_fract_z
Li1 Li 0.500 0.500 0.000
Li2 Li 0.500 0.000 0.500
Li3 Li 0.000 0.000 0.000
Li4 Li 0.000 0.500 0.500
O1 O 0.261 0.735 0.735
O2 O 0.237 0.237 0.237
O3 O 0.265 0.739 0.265
O4 O 0.735 0.261 0.735
O5 O 0.739 0.265 0.265
O6 O 0.735 0.735 0.261
O7 O 0.265 0.265 0.739
O8 O 0.763 0.763 0.763
Ni1 Ni 0.500 0.000 0.000
Ni2 Ni 0.000 0.000 0.500
Ni3 Ni 0.000 0.500 0.000
Mn1 Mn 0.500 0.500 0.500
# **Calculated total energy**: -86.3 eV for the cell shown
# **SG**: R-3m, No. 166

=====

2.
# Li3MnPCO7 | Materials Project | PBE+U | optimized geometry
data_Li3MnPCO7
_space_group_name_H-M_alt 'P 1'
_space_group_IT_number 1
_cell_length_a 5.077
_cell_length_b 6.802
_cell_length_c 8.793
_cell_angle_alpha 95.28
_cell_angle_beta 92.39
_cell_angle_gamma 95.29
loop_
_space_group_symop_operation_xyz
'x,y,z'
loop_
_atom_site_label
_atom_site_type_symbol
_atom_site_fract_x
_atom_site_fract_y
_atom_site_fract_z
P1 P 0.154 0.740 0.919
P2 P 0.846 0.260 0.081
O1 O 0.297 0.913 0.843
O2 O 0.703 0.087 0.157
O3 O 0.739 0.785 0.586
O4 O 0.511 0.246 0.636
O5 O 0.154 0.264 0.092
O6 O 0.753 0.248 0.908
O7 O 0.927 0.796 0.358
O8 O 0.261 0.215 0.414
O9 O 0.073 0.204 0.642
O10 O 0.846 0.736 0.908
O11 O 0.247 0.752 0.092
O12 O 0.762 0.453 0.169
O13 O 0.238 0.547 0.831
O14 O 0.489 0.754 0.364
Mn1 Mn 0.318 0.233 0.869
Mn2 Mn 0.682 0.767 0.131
Li1 Li 0.865 0.410 0.734
Li2 Li 0.461 0.285 0.248
Li3 Li 0.135 0.590 0.266
Li4 Li 0.539 0.715 0.752
Li5 Li 0.238 0.951 0.301
Li6 Li 0.762 0.049 0.699
C1 C 0.718 0.779 0.440
C2 C 0.282 0.221 0.560
# **Calculated total energy**: -177.1 eV for the cell shown
# **Distance to the lowest polymorph of the same formula**: 58.7 kJ/mol of formula units
# **SG**: P-1, No. 2

=====

3.
# Co3P3O11 | Materials Project | PBE+U | optimized geometry
data_Co3P3O11
_space_group_name_H-M_alt 'P 1'
_space_group_IT_number 1
_cell_length_a 9.604
_cell_length_b 9.697
_cell_length_c 10.519
_cell_angle_alpha 59.25
_cell_angle_beta 90.00
_cell_angle_gamma 90.00
loop_
_space_group_symop_operation_xyz
'x,y,z'
loop_
_atom_site_label
_atom_site_type_symbol
_atom_site_fract_x
_atom_site_fract_y
_atom_site_fract_z
O1 O 0.982 0.557 0.649
O2 O 0.272 0.774 0.083
O3 O 0.463 0.267 0.695
O4 O 0.755 0.765 0.944
O5 O 0.728 0.226 0.917
O6 O 0.027 0.379 0.919
O7 O 0.473 0.379 0.419
O8 O 0.487 0.258 0.253
O9 O 0.996 0.113 0.564
O10 O 0.255 0.235 0.556
O11 O 0.218 0.069 0.412
O12 O 0.527 0.621 0.581
O13 O 0.484 0.080 0.592
O14 O 0.718 0.931 0.088
O15 O 0.004 0.887 0.436
O16 O 0.537 0.733 0.305
O17 O 0.772 0.226 0.417
O18 O 0.228 0.774 0.583
O19 O 0.518 0.557 0.149
O20 O 0.016 0.080 0.092
O21 O 0.782 0.931 0.588
O22 O 0.037 0.267 0.195
O23 O 0.496 0.887 0.936
O24 O 0.987 0.742 0.247
O25 O 0.245 0.235 0.056
O26 O 0.963 0.733 0.805
O27 O 0.282 0.069 0.912
O28 O 0.504 0.113 0.064
O29 O 0.734 0.100 0.198
O30 O 0.745 0.765 0.444
O31 O 0.234 0.900 0.302
O32 O 0.018 0.443 0.351
O33 O 0.516 0.920 0.408
O34 O 0.222 0.420 0.735
O35 O 0.722 0.580 0.765
O36 O 0.513 0.742 0.747
O37 O 0.266 0.900 0.802
O38 O 0.984 0.920 0.908
O39 O 0.766 0.100 0.698
O40 O 0.973 0.621 0.081
O41 O 0.778 0.580 0.265
O42 O 0.482 0.443 0.851
O43 O 0.013 0.258 0.753
O44 O 0.278 0.420 0.235
Co1 Co 0.857 0.109 0.865
Co2 Co 0.126 0.093 0.728
Co3 Co 0.874 0.907 0.272
Co4 Co 0.357 0.891 0.635
Co5 Co 0.868 0.726 0.635
Co6 Co 0.374 0.093 0.228
Co7 Co 0.643 0.109 0.365
Co8 Co 0.626 0.907 0.772
Co9 Co 0.132 0.274 0.365
Co10 Co 0.368 0.274 0.865
Co11 Co 0.143 0.891 0.135
Co12 Co 0.632 0.726 0.135
P1 P 0.416 0.236 0.574
P2 P 0.916 0.764 0.926
P3 P 0.664 0.100 0.063
P4 P 0.836 0.100 0.563
P5 P 0.584 0.764 0.426
P6 P 0.064 0.408 0.756
P7 P 0.564 0.592 0.744
P8 P 0.936 0.592 0.244
P9 P 0.164 0.900 0.437
P10 P 0.084 0.236 0.074
P11 P 0.336 0.900 0.937
P12 P 0.436 0.408 0.256
# **Calculated total energy**: -455.9 eV for the cell shown
# **SG**: P2_1/c, No. 14

=====

4.
# Li6FeSi2O8 | Materials Project | PBE+U | optimized geometry
data_Li6FeSi2O8
_space_group_name_H-M_alt 'P 1'
_space_group_IT_number 1
_cell_length_a 5.544
_cell_length_b 10.301
_cell_length_c 6.235
_cell_angle_alpha 78.82
_cell_angle_beta 88.26
_cell_angle_gamma 85.59
loop_
_space_group_symop_operation_xyz
'x,y,z'
loop_
_atom_site_label
_atom_site_type_symbol
_atom_site_fract_x
_atom_site_fract_y
_atom_site_fract_z
O1 O 0.579 0.383 0.897
O2 O 0.051 0.349 0.778
O3 O 0.578 0.883 0.897
O4 O 0.291 0.594 0.517
O5 O 0.421 0.117 0.103
O6 O 0.290 0.094 0.518
O7 O 0.709 0.906 0.483
O8 O 0.784 0.601 0.703
O9 O 0.949 0.651 0.222
O10 O 0.949 0.151 0.222
O11 O 0.216 0.899 0.297
O12 O 0.216 0.399 0.297
O13 O 0.710 0.406 0.482
O14 O 0.051 0.849 0.778
O15 O 0.422 0.617 0.103
O16 O 0.784 0.101 0.703
Li1 Li 0.754 0.193 0.964
Li2 Li 0.417 0.082 0.808
Li3 Li 0.245 0.307 0.036
Li4 Li 0.417 0.582 0.808
Li5 Li 0.583 0.418 0.192
Li6 Li 0.755 0.693 0.964
Li7 Li 0.583 0.918 0.192
Li8 Li 0.245 0.807 0.036
Li9 Li 0.360 0.392 0.615
Li10 Li 0.640 0.108 0.385
Li11 Li 0.360 0.892 0.615
Li12 Li 0.640 0.608 0.385
Si1 Si 0.794 0.938 0.721
Si2 Si 0.795 0.438 0.721
Si3 Si 0.206 0.562 0.279
Si4 Si 0.205 0.062 0.279
Fe1 Fe 0.000 0.750 0.500
Fe2 Fe 0.000 0.250 0.500
# **Calculated total energy**: -212.3 eV for the cell shown